(1)
Compound: SrAg2Ge2
Source: Materials Project
Functional: GGA-PBE
Structure: relaxed

Output
* SG: I4/mmm
* ΔH_f (0 K): -341 meV/atom
* calculated total energy: -3.66 eV per atom

a = 4.506 Å, b = 4.506 Å, c = 6.327 Å
α = 110.86°, β = 110.86°, γ = 90.00°
Fractional positions:
Sr  0.000  0.000  0.000
Ag  0.250  0.750  0.500
Ag  0.750  0.250  0.500
Ge  0.614  0.614  0.228
Ge  0.386  0.386  0.772


(2)
Compound: TbAgGe
Source: Materials Project
Functional: GGA-PBE
Structure: relaxed

Output
* SG: P-62m
* ΔH_f (0 K): -418 meV/atom
* calculated total energy: -4.45 eV per atom

a = 7.382 Å, b = 7.382 Å, c = 4.145 Å
α = 90.00°, β = 90.00°, γ = 120.00°
Fractional positions:
Tb  0.000  0.604  0.000
Tb  0.396  0.396  0.000
Tb  0.604  0.000  0.000
Ag  0.667  0.333  0.500
Ag  0.000  0.000  0.000
Ag  0.333  0.667  0.500
Ge  0.733  0.733  0.500
Ge  0.267  0.000  0.500
Ge  0.000  0.267  0.500


(3)
Compound: Ag8GeTe6
Source: Materials Project
Functional: GGA-PBE
Structure: relaxed

Output
* SG: P1
* polymorph energy (0 for the lowest one): 0 meV/atom
* ΔH_f (0 K): -209 meV/atom
* maximum piezoelectric response: 1.04 C/m2
* calculated total energy: -3.12 eV per atom

a = 8.154 Å, b = 8.167 Å, c = 8.302 Å
α = 61.77°, β = 62.09°, γ = 63.62°
Fractional positions:
Ag  0.120  0.797  0.779
Ag  0.830  0.164  0.764
Ag  0.785  0.792  0.416
Ag  0.690  0.337  0.060
Ag  0.349  0.666  0.024
Ag  0.982  0.995  0.449
Ag  0.431  0.999  0.974
Ag  0.033  0.413  0.972
Ge  0.509  0.514  0.460
Te  0.014  0.995  0.048
Te  0.759  0.743  0.787
Te  0.422  0.395  0.840
Te  0.890  0.405  0.367
Te  0.402  0.892  0.372
Te  0.355  0.357  0.379


(4)
Compound: Ag8GeTe6
Source: Materials Project
Functional: GGA-PBE
Structure: relaxed

Output
* SG: P1
* polymorph energy (0 for the lowest one): 19 meV/atom
* ΔH_f (0 K): -190 meV/atom
* calculated total energy: -3.10 eV per atom

a = 8.362 Å, b = 8.384 Å, c = 14.578 Å
α = 73.29°, β = 73.71°, γ = 60.40°
Fractional positions:
Ag  0.480  0.564  0.908
Ag  0.529  0.827  0.497
Ag  0.191  0.567  0.663
Ag  0.336  0.969  0.898
Ag  0.707  0.066  0.540
Ag  0.100  0.737  0.852
Ag  0.099  0.048  0.315
Ag  0.535  0.239  0.701
Ag  0.750  0.071  0.864
Ag  0.542  0.209  0.038
Ag  0.719  0.040  0.208
Ag  0.831  0.530  0.395
Ag  0.146  0.553  0.046
Ag  0.541  0.248  0.369
Ag  0.064  0.716  0.206
Ag  0.201  0.552  0.419
Ge  0.121  0.163  0.632
Ge  0.630  0.642  0.127
Te  0.996  0.964  0.004
Te  0.340  0.339  0.881
Te  0.504  0.486  0.505
Te  0.911  0.461  0.699
Te  0.702  0.695  0.938
Te  0.871  0.870  0.383
Te  0.446  0.934  0.687
Te  0.949  0.951  0.679
Te  0.439  0.954  0.190
Te  0.201  0.189  0.440
Te  0.931  0.430  0.208
Te  0.444  0.444  0.183


(5)
Compound: Ag8GeTe6
Source: Materials Project
Functional: GGA-PBE
Structure: relaxed

Output
* SG: P1
* polymorph energy (0 for the lowest one): 53 meV/atom
* ΔH_f (0 K): -156 meV/atom
* calculated total energy: -3.06 eV per atom

a = 8.214 Å, b = 8.296 Å, c = 8.591 Å
α = 62.04°, β = 61.68°, γ = 62.82°
Fractional positions:
Ag  0.393  0.416  0.840
Ag  0.441  0.374  0.368
Ag  0.026  0.642  0.331
Ag  0.374  0.036  0.984
Ag  0.009  0.666  0.004
Ag  0.028  0.026  0.662
Ag  0.048  0.015  0.331
Ag  0.967  0.343  0.016
Ge  0.721  0.751  0.726
Te  0.053  0.994  0.989
Te  0.619  0.648  0.553
Te  0.629  0.653  0.099
Te  0.652  0.135  0.617
Te  0.115  0.644  0.614
Te  0.242  0.290  0.231


(6)
Compound: Ag8GeTe6
Source: Materials Project
Functional: GGA-PBE
Structure: relaxed

Output
* SG: P1
* polymorph energy (0 for the lowest one): 15 meV/atom
* ΔH_f (0 K): -194 meV/atom
* maximum piezoelectric response: 2.29 C/m2
* calculated total energy: -3.10 eV per atom

a = 8.181 Å, b = 8.191 Å, c = 8.384 Å
α = 61.47°, β = 61.91°, γ = 61.74°
Fractional positions:
Ag  0.193  0.816  0.224
Ag  0.848  0.175  0.238
Ag  0.202  0.204  0.607
Ag  0.213  0.200  0.946
Ag  0.599  0.374  0.983
Ag  0.022  0.012  0.550
Ag  0.015  0.594  0.015
Ag  0.590  0.005  0.019
Ge  0.511  0.501  0.523
Te  0.983  0.994  0.962
Te  0.253  0.260  0.229
Te  0.611  0.607  0.146
Te  0.603  0.116  0.624
Te  0.124  0.601  0.625
Te  0.661  0.637  0.619